No. 1
An optimized crystal structure of ScBe13. Source: the Materials Project database, functional meta-GGA r2SCAN.

POSCAR file:
```
ScBe13
1.0
0.000 5.023 5.023
5.023 0.000 5.023
5.023 5.023 0.000
Sc Be
2 26
Direct
0.250 0.250 0.250
0.750 0.750 0.750
0.000 0.000 0.000
0.062 0.293 0.707
0.062 0.707 0.938
0.062 0.938 0.293
0.207 0.438 0.793
0.207 0.562 0.438
0.207 0.793 0.562
0.293 0.062 0.938
0.293 0.707 0.062
0.293 0.938 0.707
0.438 0.207 0.562
0.438 0.562 0.793
0.438 0.793 0.207
0.500 0.500 0.500
0.562 0.207 0.793
0.562 0.438 0.207
0.562 0.793 0.438
0.707 0.062 0.293
0.707 0.293 0.938
0.707 0.938 0.062
0.793 0.207 0.438
0.793 0.438 0.562
0.793 0.562 0.207
0.938 0.062 0.707
0.938 0.293 0.062
0.938 0.707 0.293
```

Uncorrected energy (eV/atom): -5.0168
Formation enthalpy at 0 K (eV/atom): -0.1745
V (A^3/atom): 9.05
Symmetry: Fm-3c

***

No. 2
An optimized crystal structure of PdPb2F6. Source: the Materials Project database, functional meta-GGA r2SCAN.

POSCAR file:
```
PdPb2F6
1.0
8.374 -2.955 0.000
8.374 2.955 0.000
0.000 0.000 5.900
Pd Pb F
2 4 12
Direct
0.000 0.000 0.000
0.500 0.500 0.500
0.162 0.162 0.500
0.338 0.338 0.000
0.662 0.662 0.000
0.838 0.838 0.500
0.008 0.492 0.750
0.081 0.750 0.834
0.250 0.581 0.334
0.250 0.919 0.834
0.419 0.750 0.334
0.492 0.008 0.250
0.508 0.992 0.750
0.581 0.250 0.666
0.750 0.081 0.166
0.750 0.419 0.666
0.919 0.250 0.166
0.992 0.508 0.250
```

Uncorrected energy (eV/atom): -19.3111
Formation enthalpy at 0 K (eV/atom): -2.1681
V (A^3/atom): 16.22
Symmetry: Cmce

***

Q: The lowest formation enthalpy at 0 K belongs to which entry?
A: PdPb2F6